1.
Here is a geometry-optimized Sr2AlCoCu2O7 structure from Materials Project. Energies are from GGA+U.

```
Sr2AlCoCu2O7
1.0
5.327 0.000 0.000
0.005 5.391 0.000
2.656 2.687 11.462
Sr Al Co Cu O
4 2 2 4 14
direct
0.000 0.000 0.000
0.198 0.198 0.602
0.500 0.476 0.000
0.698 0.674 0.602
0.343 0.338 0.301
0.843 0.837 0.301
0.133 0.651 0.801
0.633 0.023 0.801
0.283 0.779 0.419
0.401 0.895 0.183
0.783 0.276 0.419
0.901 0.397 0.183
0.005 0.485 0.955
0.074 0.716 0.191
0.109 0.461 0.410
0.155 0.637 0.648
0.217 0.212 0.193
0.463 0.105 0.411
0.495 0.691 0.801
0.505 0.036 0.954
0.573 0.569 0.190
0.609 0.605 0.408
0.655 0.188 0.648
0.717 0.069 0.193
0.963 0.957 0.412
0.996 0.984 0.801
```

* crystal system: triclinic
* space group: No. 1

=====

2.
Here is a geometry-optimized AlCo3F15 structure from Materials Project. Energies are from GGA+U.

```
AlCo3F15
1.0
5.871 0.000 0.000
0.000 10.687 0.000
-2.437 0.000 8.828
Al Co F
2 6 30
direct
0.059 0.250 0.256
0.941 0.750 0.744
0.483 0.000 0.662
0.483 0.500 0.662
0.500 0.000 0.000
0.500 0.500 0.000
0.517 0.000 0.338
0.517 0.500 0.338
0.079 0.750 0.930
0.107 0.750 0.620
0.146 0.750 0.275
0.227 0.090 0.628
0.227 0.410 0.628
0.243 0.118 0.290
0.243 0.382 0.290
0.244 0.091 0.951
0.244 0.409 0.951
0.371 0.594 0.472
0.371 0.906 0.472
0.373 0.590 0.139
0.373 0.910 0.139
0.380 0.601 0.826
0.380 0.899 0.826
0.620 0.101 0.174
0.620 0.399 0.174
0.627 0.090 0.861
0.627 0.410 0.861
0.629 0.094 0.528
0.629 0.406 0.528
0.756 0.591 0.049
0.756 0.909 0.049
0.757 0.618 0.710
0.757 0.882 0.710
0.773 0.590 0.372
0.773 0.910 0.372
0.854 0.250 0.725
0.893 0.250 0.380
0.921 0.250 0.070
```

* crystal system: monoclinic
* space group: No. 11

=====

3.
Here is a geometry-optimized AlCoNF6 structure from Materials Project. Energies are from GGA+U.

```
AlCoNF6
1.0
7.251 0.000 0.000
0.000 6.951 0.000
0.000 0.000 10.002
Al Co N F
4 4 4 24
direct
0.000 0.000 0.000
0.000 0.500 0.000
0.500 0.000 0.500
0.500 0.500 0.500
0.225 0.250 0.265
0.275 0.750 0.765
0.725 0.250 0.235
0.775 0.750 0.735
0.012 0.250 0.626
0.488 0.750 0.126
0.512 0.250 0.874
0.988 0.750 0.374
0.017 0.250 0.945
0.032 0.750 0.679
0.155 0.053 0.139
0.155 0.447 0.139
0.200 0.562 0.895
0.200 0.938 0.895
0.300 0.062 0.395
0.300 0.438 0.395
0.345 0.553 0.639
0.345 0.947 0.639
0.468 0.250 0.179
0.483 0.750 0.445
0.517 0.250 0.555
0.532 0.750 0.821
0.655 0.053 0.361
0.655 0.447 0.361
0.700 0.562 0.605
0.700 0.938 0.605
0.800 0.062 0.105
0.800 0.438 0.105
0.845 0.553 0.861
0.845 0.947 0.861
0.968 0.250 0.321
0.983 0.750 0.055
```

* crystal system: orthorhombic
* excess energy over the best structure of this formula in the dataset: 71 meV/atom
* space group: No. 62

=====

4.
Here is a geometry-optimized AlCoNF6 structure from Materials Project. Energies are from GGA+U.

```
AlCoNF6
1.0
-3.492 3.585 4.987
3.492 -3.585 4.987
3.492 3.585 -4.987
Al Co N F
2 2 2 12
direct
0.500 0.000 0.000
0.500 0.500 0.500
0.000 0.000 0.000
0.500 0.000 0.500
0.126 0.376 0.750
0.874 0.624 0.250
0.175 0.925 0.250
0.195 0.322 0.264
0.195 0.931 0.873
0.442 0.069 0.764
0.442 0.678 0.373
0.446 0.696 0.750
0.554 0.304 0.250
0.558 0.322 0.627
0.558 0.931 0.236
0.805 0.069 0.127
0.805 0.678 0.736
0.825 0.075 0.750
```

* crystal system: orthorhombic
* excess energy over the best structure of this formula in the dataset: 0 meV/atom
* space group: No. 74

=====

5.
Here is a geometry-optimized Na2AlCoF7 structure from Materials Project. Energies are from GGA+U.

```
Na2AlCoF7
1.0
6.261 -3.650 0.000
6.261 3.650 0.000
-3.948 0.000 24.046
Na Al Co F
16 8 8 56
direct
0.000 0.000 0.000
0.000 0.000 0.500
0.000 0.500 0.000
0.119 0.134 0.878
0.134 0.119 0.378
0.204 0.300 0.752
0.211 0.789 0.750
0.300 0.204 0.252
0.500 0.000 0.500
0.500 0.500 0.000
0.500 0.500 0.500
0.700 0.796 0.748
0.789 0.211 0.250
0.796 0.700 0.248
0.866 0.881 0.622
0.881 0.866 0.122
0.000 0.500 0.500
0.108 0.639 0.874
0.252 0.748 0.250
0.361 0.892 0.626
0.500 0.000 0.000
0.639 0.108 0.374
0.748 0.252 0.750
0.892 0.361 0.126
0.137 0.610 0.374
0.367 0.389 0.628
0.389 0.367 0.128
0.390 0.863 0.126
0.610 0.137 0.874
0.611 0.633 0.872
0.633 0.611 0.372
0.863 0.390 0.626
0.005 0.151 0.790
0.025 0.646 0.799
0.076 0.078 0.111
0.076 0.449 0.112
0.078 0.076 0.611
0.082 0.484 0.658
0.125 0.220 0.469
0.129 0.575 0.455
0.151 0.005 0.290
0.151 0.637 0.293
0.187 0.634 0.950
0.220 0.125 0.969
0.240 0.424 0.547
0.277 0.705 0.640
0.295 0.356 0.860
0.295 0.645 0.094
0.295 0.723 0.860
0.354 0.975 0.701
0.355 0.705 0.406
0.356 0.295 0.360
0.362 0.486 0.209
0.363 0.849 0.207
0.366 0.813 0.550
0.424 0.240 0.047
0.425 0.871 0.045
0.449 0.076 0.612
0.484 0.082 0.158
0.486 0.362 0.709
0.514 0.638 0.291
0.516 0.918 0.842
0.551 0.924 0.388
0.575 0.129 0.955
0.576 0.760 0.953
0.634 0.187 0.450
0.637 0.151 0.793
0.638 0.514 0.791
0.644 0.705 0.640
0.645 0.295 0.594
0.646 0.025 0.299
0.705 0.277 0.140
0.705 0.355 0.906
0.705 0.644 0.140
0.723 0.295 0.360
0.760 0.576 0.453
0.780 0.875 0.031
0.813 0.366 0.050
0.849 0.363 0.707
0.849 0.995 0.710
0.871 0.425 0.545
0.875 0.780 0.531
0.918 0.516 0.342
0.922 0.924 0.389
0.924 0.551 0.888
0.924 0.922 0.889
0.975 0.354 0.201
0.995 0.849 0.210
```

* crystal system: monoclinic
* space group: No. 15

=====

6.
Here is a geometry-optimized AlCoO6F6 structure from Materials Project. Energies are from GGA+U.

```
AlCoO6F6
1.0
5.104 -6.118 0.000
5.104 6.118 0.000
-0.268 0.000 5.526
Al Co O F
2 2 12 12
direct
0.000 0.500 0.000
0.500 0.000 0.000
0.000 0.000 0.500
0.500 0.500 0.500
0.113 0.113 0.751
0.147 0.147 0.324
0.149 0.851 0.500
0.271 0.469 0.542
0.456 0.456 0.186
0.469 0.271 0.542
0.531 0.729 0.458
0.544 0.544 0.814
0.729 0.531 0.458
0.851 0.149 0.500
0.853 0.853 0.676
0.887 0.887 0.249
0.030 0.713 0.873
0.086 0.594 0.291
0.216 0.480 0.917
0.287 0.970 0.127
0.406 0.914 0.709
0.480 0.216 0.917
0.520 0.784 0.083
0.594 0.086 0.291
0.713 0.030 0.873
0.784 0.520 0.083
0.914 0.406 0.709
0.970 0.287 0.127
```

* crystal system: monoclinic
* space group: No. 12

=====

In the order shown, the computed ΔH_f (0 K) values come out to -2.14; -1.95; -2.01; -2.08; -3.16; -0.94 eV per atom.